Entry 1:
First-principles (GGA-PBE) data for a relaxed KAgO3 crystal, as listed in Materials Project.

Cell lengths 4.1926, 4.1926, 4.1926 Å; angles 90.00, 90.00, 90.00 degrees
With the nearest neighbours (Å) after each atom.
Fractional positions:
K 0.0000 0.0000 0.0000  12 O 2.96
Ag 0.5000 0.5000 0.5000  6 O 2.10
O 0.5000 0.5000 0.0000  2 Ag 2.10
O 0.5000 0.0000 0.5000  2 Ag 2.10
O 0.0000 0.5000 0.5000  2 Ag 2.10

Properties
Its formation energy is -0.50 eV per atom. As for the energy with MP2020 corrections: -4.2544 eV per atom. As for the space-group type: Pm-3m.

***

Entry 2:
First-principles (GGA-PBE) data for a relaxed K2AlSnP3O12 crystal, as listed in Materials Project.

Cell lengths 9.9427, 9.9427, 9.9427 Å; angles 90.00, 90.00, 90.00 degrees
With the nearest neighbours (Å) after each atom.
Fractional positions:
K 0.4556 0.4556 0.4556  9 O 2.88-3.20
K 0.5444 0.9556 0.0444  9 O 2.88-3.20
K 0.9556 0.0444 0.5444  9 O 2.88-3.20
K 0.0444 0.5444 0.9556  9 O 2.88-3.20
K 0.1841 0.8159 0.3159  12 O 2.86-3.17
K 0.6841 0.6841 0.6841  12 O 2.86-3.17
K 0.3159 0.1841 0.8159  12 O 2.86-3.17
K 0.8159 0.3159 0.1841  12 O 2.86-3.17
Al 0.3952 0.6048 0.1048  6 O 1.93
Al 0.8952 0.8952 0.8952  6 O 1.93
Al 0.1048 0.3952 0.6048  6 O 1.93
Al 0.6048 0.1048 0.3952  6 O 1.93
Sn 0.3369 0.8369 0.6631  6 O 2.04-2.05
Sn 0.8369 0.6631 0.3369  6 O 2.04-2.05
Sn 0.6631 0.3369 0.8369  6 O 2.04-2.05
Sn 0.1631 0.1631 0.1631  6 O 2.04-2.05
P 0.3682 0.5191 0.7950  4 O 1.53-1.57
P 0.2050 0.8682 0.9809  4 O 1.53-1.57
P 0.0191 0.7050 0.6318  4 O 1.53-1.57
P 0.8682 0.9809 0.2050  4 O 1.53-1.57
P 0.7050 0.6318 0.0191  4 O 1.53-1.57
P 0.5191 0.7950 0.3682  4 O 1.53-1.57
P 0.6318 0.0191 0.7050  4 O 1.53-1.57
P 0.7950 0.3682 0.5191  4 O 1.53-1.57
P 0.9809 0.2050 0.8682  4 O 1.53-1.57
P 0.1318 0.4809 0.2950  4 O 1.53-1.57
P 0.2950 0.1318 0.4809  4 O 1.53-1.57
P 0.4809 0.2950 0.1318  4 O 1.53-1.57
O 0.2571 0.4556 0.7094  1 P 1.53
O 0.2906 0.7571 0.0444  1 P 1.53
O 0.9556 0.7906 0.7429  1 P 1.53
O 0.7571 0.0444 0.2906  1 P 1.53
O 0.7906 0.7429 0.9556  1 P 1.53
O 0.4556 0.7094 0.2571  1 P 1.53
O 0.7429 0.9556 0.7906  1 P 1.53
O 0.7094 0.2571 0.4556  1 P 1.53
O 0.0444 0.2906 0.7571  1 P 1.53
O 0.2429 0.5444 0.2094  1 P 1.53
O 0.2094 0.2429 0.5444  1 P 1.53
O 0.5444 0.2094 0.2429  1 P 1.53
O 0.4047 0.6646 0.7509  1 P 1.56
O 0.2491 0.9047 0.8354  1 P 1.56
O 0.1646 0.7491 0.5953  1 P 1.56
O 0.9047 0.8354 0.2491  1 P 1.56
O 0.7491 0.5953 0.1646  1 P 1.56
O 0.6646 0.7509 0.4047  1 P 1.56
O 0.5953 0.1646 0.7491  1 P 1.56
O 0.7509 0.4047 0.6646  1 P 1.56
O 0.8354 0.2491 0.9047  1 P 1.56
O 0.0953 0.3354 0.2509  1 P 1.56
O 0.2509 0.0953 0.3354  1 P 1.56
O 0.3354 0.2509 0.0953  1 P 1.56
O 0.4984 0.4363 0.7619  1 P 1.57
O 0.2381 0.9984 0.0637  1 P 1.57
O 0.9363 0.7381 0.5016  1 P 1.57
O 0.9984 0.0637 0.2381  1 P 1.57
O 0.7381 0.5016 0.9363  1 P 1.57
O 0.4363 0.7619 0.4984  1 P 1.57
O 0.5016 0.9363 0.7381  1 P 1.57
O 0.7619 0.4984 0.4363  1 P 1.57
O 0.0637 0.2381 0.9984  1 P 1.57
O 0.0016 0.5637 0.2619  1 P 1.57
O 0.2619 0.0016 0.5637  1 P 1.57
O 0.5637 0.2619 0.0016  1 P 1.57
O 0.3326 0.5146 0.9450  1 P 1.53
O 0.0550 0.8326 0.9854  1 P 1.53
O 0.0146 0.5550 0.6674  1 P 1.53
O 0.8326 0.9854 0.0550  1 P 1.53
O 0.5550 0.6674 0.0146  1 P 1.53
O 0.5146 0.9450 0.3326  1 P 1.53
O 0.6674 0.0146 0.5550  1 P 1.53
O 0.9450 0.3326 0.5146  1 P 1.53
O 0.9854 0.0550 0.8326  1 P 1.53
O 0.1674 0.4854 0.4450  1 P 1.53
O 0.4450 0.1674 0.4854  1 P 1.53
O 0.4854 0.4450 0.1674  1 P 1.53

Properties
Its formation energy is -2.75 eV per atom. As for the energy with MP2020 corrections: -7.2515 eV per atom. As for the space-group type: P2_13.

***

Among the records above, which one has the highest energy with MP2020 corrections? KAgO3